Below is an optimized crystal structure of MgCoNi4O8, with properties calculated at the PBE with a Hubbard U level.

## Properties
* energy above the lowest structure with this stoichiometry: 0.0 kJ/mol of formula units
* energy: -5.178 eV per atom
* DFT formation energy: -1312 meV per atom
* symmetry: P-1, No. 2

Unit cell a=10.2864 b=10.3190 c=14.6091 alpha=18.94 beta=19.42 gamma=33.18
Positions (direct):
O 0.0411 0.0011 0.7073
O 0.4501 0.4997 0.7755
O 0.0429 0.4996 0.2285
O 0.9571 0.5004 0.7715
O 0.9589 0.9989 0.2927
O 0.4589 0.0015 0.2912
O 0.5499 0.5003 0.2245
O 0.5411 0.9985 0.7088
Ni 0.0000 0.0000 0.5000
Ni 0.5000 0.0000 0.0000
Ni 0.0000 0.0000 0.0000
Ni 0.0000 0.5000 0.0000
Co 0.5000 0.5000 0.0000
Mg 0.5000 0.0000 0.5000

Below is an optimized crystal structure of Na2VP2O8, with properties calculated at the PBE with a Hubbard U level.

## Properties
* energy above the lowest structure with this stoichiometry: 43.1 kJ/mol of formula units
* energy: -6.823 eV per atom
* DFT formation energy: -2596 meV per atom
* symmetry: P4bm, No. 100
* piezoelectric modulus e_max: 1.44 C/m²

Unit cell a=8.3511 b=8.3511 c=5.0238 alpha=90.00 beta=90.00 gamma=90.00
Positions (direct):
O 0.2140 0.0767 0.8382
O 0.6290 0.8710 0.2734
O 0.0000 0.5000 0.8554
O 0.1290 0.6290 0.2734
O 0.5767 0.7140 0.8382
O 0.7140 0.4233 0.8382
O 0.5000 0.0000 0.8554
O 0.0000 0.0000 0.2833
O 0.3710 0.1290 0.2734
O 0.0767 0.7860 0.8382
O 0.4233 0.2860 0.8382
O 0.7860 0.9233 0.8382
O 0.9233 0.2140 0.8382
O 0.2860 0.5767 0.8382
O 0.8710 0.3710 0.2734
O 0.5000 0.5000 0.2833
P 0.1291 0.6291 0.9745
P 0.3709 0.1291 0.9745
P 0.6291 0.8709 0.9745
P 0.8709 0.3709 0.9745
Na 0.6759 0.1759 0.5107
Na 0.1759 0.3241 0.5107
Na 0.8241 0.6759 0.5107
Na 0.3241 0.8241 0.5107
V 0.0000 0.0000 0.9583
V 0.5000 0.5000 0.9583

Below is an optimized crystal structure of Cr14MoO24, with properties calculated at the PBE with a Hubbard U level.

## Properties
* energy: -7.827 eV per atom
* DFT formation energy: -2261 meV per atom
* symmetry: P-1, No. 2

Unit cell a=5.1257 b=5.4505 c=16.9673 alpha=83.79 beta=81.36 gamma=62.23
Positions (direct):
O 0.7652 0.0612 0.3110
O 0.7375 0.4417 0.1876
O 0.7789 0.4950 0.7352
O 0.5368 0.2379 0.4873
O 0.0131 0.3119 0.5626
O 0.0887 0.6911 0.9847
O 0.7089 0.0093 0.7626
O 0.2348 0.9388 0.6890
O 0.1043 0.1233 0.8536
O 0.2211 0.5050 0.2648
O 0.8957 0.8767 0.1464
O 0.2625 0.5583 0.8124
O 0.2911 0.9907 0.2374
O 0.4938 0.7840 0.0630
O 0.3511 0.3814 0.1084
O 0.1374 0.1366 0.3879
O 0.9113 0.3089 0.0153
O 0.9869 0.6881 0.4374
O 0.4632 0.7621 0.5127
O 0.6137 0.6124 0.3619
O 0.5062 0.2160 0.9370
O 0.3863 0.3876 0.6381
O 0.6489 0.6186 0.8916
O 0.8626 0.8634 0.6121
Cr 0.0598 0.6627 0.7130
Cr 0.4374 0.0368 0.5882
Cr 0.9102 0.5799 0.0903
Cr 0.9402 0.3373 0.2870
Cr 0.4266 0.8420 0.7907
Cr 0.5626 0.9632 0.4118
Cr 0.2992 0.7159 0.1684
Cr 0.8109 0.2131 0.6619
Cr 0.5734 0.1580 0.2093
Cr 0.7008 0.2841 0.8316
Cr 0.0898 0.4201 0.9097
Cr 0.1876 0.5879 0.5376
Cr 0.1891 0.7869 0.3381
Cr 0.8124 0.4121 0.4624
Mo 0.5000 0.5000 0.0000

Below is an optimized crystal structure of V4P3O12, with properties calculated at the PBE with a Hubbard U level.

## Properties
* energy: -7.678 eV per atom
* DFT formation energy: -2577 meV per atom
* symmetry: I-42d, No. 122

Unit cell a=10.7397 b=10.7397 c=10.7397 alpha=143.46 beta=143.46 gamma=52.63
Positions (direct):
V 0.7727 0.7727 0.0000
V 0.8750 0.3747 0.9997
V 0.3750 0.8753 0.0003
V 0.9773 0.4773 0.5000
V 0.1247 0.1250 0.4997
V 0.2273 0.2273 0.0000
V 0.6253 0.6250 0.5003
V 0.5227 0.0227 0.5000
O 0.3192 0.1082 0.8010
O 0.2683 0.5572 0.6990
O 0.5412 0.3284 0.6592
O 0.4308 0.7317 0.2889
O 0.4817 0.6808 0.7889
O 0.8528 0.1002 0.8693
O 0.6692 0.8819 0.3408
O 0.5191 0.1498 0.2526
O 0.8502 0.1028 0.3693
O 0.0165 0.1472 0.2474
O 0.8582 0.5692 0.3010
O 0.8918 0.6928 0.2111
O 0.0784 0.7912 0.1592
O 0.7335 0.4809 0.6307
O 0.8998 0.7691 0.7526
O 0.8972 0.2665 0.7474
O 0.6716 0.3308 0.2127
O 0.6319 0.9192 0.8408
O 0.2309 0.9835 0.1307
O 0.1181 0.4588 0.7873
O 0.2088 0.3681 0.2873
O 0.3072 0.5183 0.1990
O 0.0808 0.9216 0.7127
O 0.4428 0.1418 0.7111
P 0.8750 0.7765 0.4015
P 0.7500 0.2500 0.5000
P 0.0000 0.0000 0.0000
P 0.3750 0.4735 0.5985
P 0.2235 0.6250 0.0985
P 0.5265 0.1250 0.9015

Below is an optimized crystal structure of YV4Cu3O12, with properties calculated at the PBE with a Hubbard U level.

## Properties
* energy above the lowest structure with this stoichiometry: 0.0 kJ/mol of formula units
* energy: -7.175 eV per atom
* DFT formation energy: -2204 meV per atom
* symmetry: P-1, No. 2

Unit cell a=6.4176 b=6.4144 c=6.4306 alpha=109.53 beta=109.48 gamma=109.45
Positions (direct):
O 0.1208 0.8170 0.2896
O 0.1790 0.2993 0.4722
O 0.4729 0.1776 0.3014
O 0.3048 0.1215 0.8307
O 0.7025 0.5268 0.8254
O 0.1759 0.7031 0.8758
O 0.8792 0.1830 0.7104
O 0.5271 0.8224 0.6986
O 0.2975 0.4732 0.1746
O 0.8241 0.2969 0.1242
O 0.6952 0.8785 0.1693
O 0.8210 0.7007 0.5278
V 0.0000 0.5000 0.0000
V 0.5000 0.0000 0.0000
V 0.0000 0.0000 0.5000
V 0.5000 0.5000 0.5000
Cu 0.5000 0.5000 0.0000
Cu 0.0000 0.5000 0.5000
Cu 0.5000 0.0000 0.5000
Y 0.0000 0.0000 0.0000

Below is an optimized crystal structure of MnO2, with properties calculated at the PBE with a Hubbard U level.

## Properties
* energy: -7.130 eV per atom
* DFT formation energy: -1792 meV per atom
* symmetry: R-3m, No. 166

Unit cell a=7.1714 b=7.1714 c=7.1714 alpha=23.53 beta=23.53 gamma=23.53
Positions (direct):
O 0.6208 0.6208 0.6208
O 0.3792 0.3792 0.3792
Mn 0.0000 0.0000 0.0000

Below is an optimized crystal structure of Mg2VBiO6, with properties calculated at the PBE with a Hubbard U level.

## Properties
* energy above the lowest structure with this stoichiometry: 2.2 kJ/mol of formula units
* energy: -6.533 eV per atom
* DFT formation energy: -2529 meV per atom
* symmetry: Cmcm, No. 63

Unit cell a=7.4733 b=7.4733 c=5.5201 alpha=90.00 beta=90.00 gamma=115.15
Positions (direct):
O 0.8286 0.8286 0.5000
O 0.1714 0.1714 0.0000
O 0.3978 0.9519 0.2500
O 0.6178 0.3822 0.0106
O 0.1714 0.1714 0.5000
O 0.6178 0.3822 0.4894
O 0.3822 0.6178 0.9894
O 0.0481 0.6022 0.2500
O 0.8286 0.8286 0.0000
O 0.9519 0.3978 0.7500
O 0.6022 0.0481 0.7500
O 0.3822 0.6178 0.5106
Mg 0.7825 0.6016 0.2500
Mg 0.6016 0.7825 0.7500
Mg 0.3984 0.2175 0.2500
Mg 0.2175 0.3984 0.7500
V 0.6987 0.3013 0.7500
V 0.3013 0.6987 0.2500
Bi 0.0895 0.9105 0.7500
Bi 0.9105 0.0895 0.2500

Below is an optimized crystal structure of Li2InFeP4O14, with properties calculated at the PBE with a Hubbard U level.

## Properties
* energy: -6.843 eV per atom
* DFT formation energy: -2566 meV per atom

Unit cell a=7.0792 b=9.7520 c=9.7763 alpha=60.79 beta=99.33 gamma=80.20
Positions (direct):
O 0.7448 0.6131 0.5301
O 0.0988 0.6323 0.5281
O 0.0180 0.8559 0.1679
O 0.2584 0.7698 0.8763
O 0.4078 0.4124 0.5110
O 0.3816 0.7639 0.4068
O 0.0153 0.0452 0.7817
O 0.4077 0.9124 0.0110
O 0.3816 0.2639 0.9068
O 0.6195 0.1649 0.5313
O 0.5641 0.7719 0.6430
O 0.0154 0.5452 0.2817
O 0.0180 0.3559 0.6679
O 0.9949 0.4106 0.1132
O 0.8961 0.7920 0.8811
O 0.8961 0.2920 0.3811
O 0.6336 0.4260 0.8680
O 0.0024 0.0327 0.2923
O 0.3607 0.1316 0.6865
O 0.2584 0.2697 0.3763
O 0.5641 0.2719 0.1430
O 0.6195 0.6649 0.0313
O 0.0024 0.5327 0.7923
O 0.9949 0.9106 0.6132
O 0.3607 0.6315 0.1865
O 0.7448 0.1131 0.0301
O 0.0988 0.1323 0.0281
O 0.6336 0.9260 0.3680
P 0.0292 0.3849 0.2843
P 0.5782 0.2763 0.9857
P 0.4146 0.7446 0.0340
P 0.4146 0.2445 0.5341
P 0.0292 0.8849 0.7843
P 0.5782 0.7763 0.4857
P 0.9789 0.0308 0.1341
P 0.9789 0.5308 0.6341
Li 0.8342 0.2665 0.5830
Li 0.1771 0.3247 0.0172
Li 0.8342 0.7665 0.0830
Li 0.1771 0.8247 0.5172
In 0.7623 0.1028 0.3823
In 0.7623 0.6028 0.8823
Fe 0.2296 0.6348 0.3499
Fe 0.2296 0.1349 0.8498

Below is an optimized crystal structure of CoSbP2O8, with properties calculated at the PBE with a Hubbard U level.

## Properties
* energy above the lowest structure with this stoichiometry: 5.5 kJ/mol of formula units
* energy: -6.775 eV per atom
* DFT formation energy: -2232 meV per atom
* symmetry: P1, No. 1

Unit cell a=7.9713 b=8.0559 c=10.0878 alpha=86.71 beta=88.07 gamma=103.36
Positions (direct):
O 0.4609 0.7113 0.3831
O 0.9842 0.7320 0.1363
O 0.2985 0.4070 0.3390
O 0.2018 0.0918 0.6614
O 0.6514 0.0937 0.8168
O 0.7626 0.0021 0.5515
O 0.2987 0.0481 0.9464
O 0.6235 0.6203 0.6516
O 0.8454 0.9054 0.8202
O 0.6624 0.0543 0.3173
O 0.4730 0.2234 0.1172
O 0.1643 0.6026 0.8272
O 0.3697 0.8717 0.6402
O 0.1475 0.0858 0.1719
O 0.3360 0.8974 0.1731
O 0.5377 0.2958 0.6140
O 0.3524 0.4139 0.8282
O 0.5155 0.7681 0.8632
O 0.2021 0.4521 0.0539
O 0.8764 0.8806 0.3477
O 0.0394 0.7876 0.6170
O 0.1309 0.6274 0.3583
O 0.9618 0.2053 0.3858
O 0.6785 0.9286 0.0390
O 0.8370 0.4458 0.6834
O 0.8483 0.4063 0.1827
O 0.8204 0.5716 0.9608
O 0.6545 0.5949 0.1798
O 0.0269 0.2767 0.8836
O 0.2309 0.9742 0.4356
O 0.2679 0.5254 0.5643
O 0.7386 0.4982 0.4486
P 0.8176 0.0438 0.4039
P 0.3253 0.0746 0.0918
P 0.6826 0.4568 0.5961
P 0.6702 0.9203 0.8910
P 0.2007 0.9277 0.5909
P 0.8293 0.5797 0.1088
P 0.2994 0.5715 0.4090
P 0.1749 0.4254 0.9086
Co 0.4135 0.1724 0.7799
Co 0.0865 0.3282 0.2202
Co 0.5834 0.8318 0.2173
Co 0.9175 0.6684 0.7834
Sb 0.5971 0.3411 0.2986
Sb 0.3938 0.6446 0.7143
Sb 0.9029 0.1591 0.7017
Sb 0.1061 0.8550 0.2853

Below is an optimized crystal structure of FeBi25O40, with properties calculated at the PBE with a Hubbard U level.

## Properties
* energy above the lowest structure with this stoichiometry: 152.5 kJ/mol of formula units
* energy: -5.730 eV per atom
* DFT formation energy: -1579 meV per atom
* symmetry: C2, No. 5

Unit cell a=9.0055 b=9.0055 c=18.0001 alpha=109.42 beta=109.44 gamma=109.58
Positions (direct):
O 0.7535 0.3736 0.0570
O 0.3907 0.3910 0.1951
O 0.9974 0.9965 0.0949
O 0.8856 0.2578 0.8203
O 0.2596 0.6395 0.9430
O 0.6419 0.8888 0.6324
O 0.3789 0.1133 0.3714
O 0.1880 0.9982 0.0000
O 0.8066 0.8076 0.9051
O 0.3627 0.3621 0.6821
O 0.8867 0.2682 0.3178
O 0.6172 0.2449 0.1797
O 0.6326 0.2511 0.6822
O 0.7308 0.6181 0.1837
O 0.9982 0.1880 0.0000
O 0.3705 0.6361 0.6286
O 0.9984 0.5950 0.9984
O 0.3531 0.6127 0.1197
O 0.7410 0.6277 0.6921
O 0.6366 0.8848 0.1316
O 0.7497 0.3797 0.5565
O 0.6458 0.9989 0.4993
O 0.3736 0.7319 0.3098
O 0.2507 0.3634 0.8163
O 0.6215 0.3734 0.8684
O 0.0003 0.6473 0.5007
O 0.7534 0.7527 0.3762
O 0.3733 0.1137 0.8803
O 0.9980 0.9986 0.3179
O 0.2667 0.6367 0.4435
O 0.0004 0.0011 0.6238
O 0.0009 0.0006 0.8049
O 0.2434 0.3567 0.3079
O 0.0024 0.2621 0.5014
O 0.1148 0.7518 0.1861
O 0.6239 0.3771 0.3676
O 0.1123 0.7539 0.6902
O 0.5982 0.0016 0.0016
O 0.2593 0.9997 0.4986
O 0.3795 0.7425 0.8139
Fe 0.9971 0.9971 0.0000
Bi 0.8375 0.4904 0.8468
Bi 0.6949 0.8335 0.2523
Bi 0.4981 0.7030 0.9231
Bi 0.1702 0.8623 0.3347
Bi 0.1416 0.3131 0.4048
Bi 0.6808 0.1733 0.4313
Bi 0.2965 0.7950 0.0726
Bi 0.8183 0.1413 0.6524
Bi 0.1929 0.5008 0.6653
Bi 0.1525 0.8533 0.8297
Bi 0.3416 0.1940 0.2508
Bi 0.3288 0.1902 0.7477
Bi 0.1428 0.2972 0.9023
Bi 0.1939 0.4931 0.1703
Bi 0.3108 0.8183 0.5687
Bi 0.5036 0.3321 0.5952
Bi 0.7969 0.1440 0.1532
Bi 0.6498 0.1514 0.9274
Bi 0.5084 0.6899 0.4153
Bi 0.8594 0.6779 0.5847
Bi 0.0071 0.0071 0.5000
Bi 0.8366 0.5136 0.3476
Bi 0.6923 0.8400 0.7492
Bi 0.8567 0.6518 0.0769
Bi 0.4925 0.3382 0.0977

Below is an optimized crystal structure of Li7Mn5O12, with properties calculated at the PBE with a Hubbard U level.

## Properties
* energy above the lowest structure with this stoichiometry: 91.0 kJ/mol of formula units
* energy: -6.366 eV per atom
* DFT formation energy: -2117 meV per atom
* symmetry: Cm, No. 8

Unit cell a=2.9842 b=14.4398 c=10.8493 alpha=73.91 beta=82.08 gamma=95.93
Positions (direct):
O 0.0904 0.6432 0.4621
O 0.7430 0.3017 0.8156
O 0.0808 0.8887 0.7271
O 0.4312 0.9853 0.1227
O 0.5859 0.7779 0.6063
O 0.5859 0.2780 0.1064
O 0.9211 0.1130 0.2705
O 0.2555 0.9457 0.4347
O 0.9236 0.8650 0.0178
O 0.2355 0.1813 0.7105
O 0.7430 0.8017 0.3155
O 0.4109 0.7208 0.8987
O 0.0904 0.1432 0.9623
O 0.9210 0.6129 0.7706
O 0.0810 0.3889 0.2268
O 0.4110 0.2208 0.3986
O 0.2555 0.4458 0.9349
O 0.7456 0.0538 0.5628
O 0.7455 0.5536 0.0628
O 0.2355 0.6813 0.2105
O 0.5763 0.0235 0.8711
O 0.5762 0.5234 0.3712
O 0.9237 0.3651 0.5178
O 0.4312 0.4853 0.6228
Li 0.8376 0.2173 0.5421
Li 0.4998 0.1267 0.1272
Li 0.1733 0.7948 0.4481
Li 0.8294 0.9495 0.2908
Li 0.1665 0.0396 0.7066
Li 0.4930 0.3716 0.3856
Li 0.8292 0.4494 0.7910
Li 0.5001 0.6270 0.6269
Li 0.4934 0.8719 0.8852
Li 0.3333 0.3333 0.6667
Li 0.1735 0.2948 0.9477
Li 0.3334 0.8333 0.1666
Li 0.8374 0.7173 0.0424
Li 0.1668 0.5398 0.2063
Mn 0.6706 0.6723 0.3311
Mn 0.6706 0.1722 0.8312
Mn 0.3328 0.0829 0.4172
Mn 0.3332 0.5832 0.9168
Mn 0.6668 0.4160 0.0824
Mn 0.9961 0.4945 0.5021
Mn 0.9961 0.9945 0.0021
Mn 0.9994 0.7503 0.7514
Mn 0.6671 0.9163 0.5821
Mn 0.0007 0.2514 0.2501